[1]
K2AgSbBr6 after structural relaxation. Source: Materials Project, functional GGA-PBE.

abc: 7.9602 7.9602 7.9602
angles: 60.00 60.00 60.00
Closest atoms and distances in Å follow each position.
Fractional positions:
K1 0.2500 0.2500 0.2500  12 Br 3.98
K2 0.7500 0.7500 0.7500  12 Br 3.98
Ag1 0.0000 0.0000 0.0000  6 Br 2.82
Sb1 0.5000 0.5000 0.5000  6 Br 2.81
Br1 0.2504 0.2504 0.7496  1 Sb 2.81, 1 Ag 2.82
Br2 0.2504 0.7496 0.2504  1 Sb 2.81, 1 Ag 2.82
Br3 0.2504 0.7496 0.7496  1 Sb 2.81, 1 Ag 2.82
Br4 0.7496 0.2504 0.2504  1 Sb 2.81, 1 Ag 2.82
Br5 0.7496 0.2504 0.7496  1 Sb 2.81, 1 Ag 2.82
Br6 0.7496 0.7496 0.2504  1 Sb 2.81, 1 Ag 2.82

Results
E_form (eV per atom): -1.328



[2]
K2TaAgBr6 after structural relaxation. Source: Materials Project, functional GGA-PBE.

abc: 7.7420 7.7420 7.7420
angles: 60.00 60.00 60.00
Closest atoms and distances in Å follow each position.
Fractional positions:
K1 0.2500 0.2500 0.2500  12 Br 3.87
K2 0.7500 0.7500 0.7500  12 Br 3.87
Ta1 0.0000 0.0000 0.0000  6 Br 2.63
Ag1 0.5000 0.5000 0.5000  6 Br 2.84
Br1 0.2406 0.2406 0.7594  1 Ta 2.63, 1 Ag 2.84
Br2 0.2406 0.7594 0.2406  1 Ta 2.63, 1 Ag 2.84
Br3 0.2406 0.7594 0.7594  1 Ta 2.63, 1 Ag 2.84
Br4 0.7594 0.2406 0.2406  1 Ta 2.63, 1 Ag 2.84
Br5 0.7594 0.2406 0.7594  1 Ta 2.63, 1 Ag 2.84
Br6 0.7594 0.7594 0.2406  1 Ta 2.63, 1 Ag 2.84

Results
E_form (eV per atom): -1.291



[3]
K2YAgBr6 after structural relaxation. Source: Materials Project, functional GGA-PBE.

abc: 7.9753 7.9753 7.9753
angles: 60.00 60.00 60.00
Closest atoms and distances in Å follow each position.
Fractional positions:
K1 0.2500 0.2500 0.2500  12 Br 3.99
K2 0.7500 0.7500 0.7500  12 Br 3.99
Y1 0.0000 0.0000 0.0000  6 Br 2.79
Ag1 0.5000 0.5000 0.5000  6 Br 2.85
Br1 0.2473 0.2473 0.7527  1 Y 2.79, 1 Ag 2.85
Br2 0.2473 0.7527 0.2473  1 Y 2.79, 1 Ag 2.85
Br3 0.2473 0.7527 0.7527  1 Y 2.79, 1 Ag 2.85
Br4 0.7527 0.2473 0.2473  1 Y 2.79, 1 Ag 2.85
Br5 0.7527 0.2473 0.7527  1 Y 2.79, 1 Ag 2.85
Br6 0.7527 0.7527 0.2473  1 Y 2.79, 1 Ag 2.85

Results
E_form (eV per atom): -1.825



[4]
MgAg2Br2O4 after structural relaxation. Source: Materials Project, functional GGA-PBE.

abc: 3.6902 4.0312 12.4202
angles: 80.70 89.94 89.74
Closest atoms and distances in Å follow each position.
Fractional positions:
Mg1 0.0000 0.0000 0.0000  6 O 2.16-2.30
Ag1 0.2496 0.4736 0.5505  2 Br 2.54-2.56, 4 Ag 2.73-2.74
Ag2 0.7499 0.9737 0.5507  2 Br 2.54-2.56, 4 Ag 2.73-2.74
Br1 0.5011 0.8095 0.3762  2 Ag 2.54
Br2 0.9991 0.1370 0.7270  2 Ag 2.56
O1 0.0004 0.5917 0.1357  1 O 1.29
O2 0.5001 0.3409 0.9701  1 O 1.41
O3 0.5001 0.6895 0.9702  1 O 1.41
O4 0.9992 0.2727 0.1357  1 O 1.29

Results
Energy above the lowest structure with this stoichiometry (kJ per mole of atoms): 0.0
E_form (eV per atom): -0.542



| no. | size of the total moment (μB/atom) |
| --- | --- |
| 1 | 0.0000 |
| 2 | 0.1999 |
| 3 | 0.0000 |
| 4 | 0.2222 |